Ba2LiTmCu3O7: relaxed, PBE.

The calculated formation energy is -2.09 eV per atom.

The structure belongs to space group Pmm2 (No. 25); the cell edges are 3.770, 12.760 and 3.945 Å and the angles 90.00°, 90.00° and 90.00°. The inequivalent atoms are Ba at (0.000, 0.214, 0.000), Li at (0.000, 0.000, 0.851), Tm at (0.000, 0.500, 0.994), Cu at (0.500, 0.000, 0.436), Cu at (0.500, 0.381, 0.494), O at (0.000, 0.391, 0.494), O at (0.500, 0.000, 0.942), O at (0.500, 0.151, 0.458) and O at (0.500, 0.388, 0.994).



Rh3Pb2Se2: relaxed, PBE.

The calculated formation energy is -0.45 eV per atom.

The structure belongs to space group R-3m (No. 166, hexagonal axes); the cell edges are 5.8297, 5.8297 and 14.7765 Å and the angles 90.00°, 90.00° and 120.00°. The inequivalent atoms are Rh at (0.0000, 0.5000, 0.0000), Pb at (0.0000, 0.0000, 0.0000), Pb at (0.0000, 0.0000, 0.5000) and Se at (0.0000, 0.0000, 0.2128).



Dy3In5: relaxed, PBE.

The calculated formation energy is -0.45 eV per atom.

The structure belongs to space group Cmcm (No. 63); the cell edges are 9.993, 8.068 and 10.394 Å and the angles 90.00°, 90.00° and 90.00°. The inequivalent atoms are Dy at (0.000, 0.128, 0.250), Dy at (0.202, 0.500, 0.000), In at (0.000, 0.189, 0.547), In at (0.000, 0.486, 0.750) and In at (0.220, 0.210, 0.750).